No. 1
Li3NiPCO7 | Materials Project | PBE with a Hubbard U | optimized geometry; ΔE to the lowest computed polymorph = 0.000 eV/f.u.
1.0
-4.9719 6.4208 -0.2171
-4.9720 -6.4209 -0.2170
-4.5309 -0.0001 8.1698
Li O C Ni P
12 28 4 4 4
Direct
0.1784 0.9284 0.1039 Li
0.2613 0.2772 0.7253 Li
0.5272 0.0113 0.7253 Li
0.7613 0.7772 0.7253 Li
0.8216 0.0716 0.8961 Li
0.0272 0.5113 0.7253 Li
0.3216 0.5716 0.8961 Li
0.7387 0.7228 0.2747 Li
0.9728 0.4887 0.2747 Li
0.4728 0.9887 0.2747 Li
0.2387 0.2228 0.2747 Li
0.6784 0.4284 0.1039 Li
0.8713 0.1213 0.0730 O
0.8512 0.2890 0.6924 O
0.9610 0.8988 0.3076 O
0.1287 0.8787 0.9269 O
0.0390 0.1012 0.6924 O
0.4610 0.3988 0.3076 O
0.1488 0.7110 0.3076 O
0.2001 0.9501 0.4371 O
0.3815 0.1315 0.1032 O
0.0431 0.2931 0.1638 O
0.3713 0.6213 0.0731 O
0.4569 0.2069 0.8362 O
0.8815 0.6315 0.1032 O
0.7999 0.0499 0.5629 O
0.7001 0.4501 0.4371 O
0.9175 0.6675 0.5797 O
0.5390 0.6012 0.6924 O
0.6287 0.3787 0.9270 O
0.9569 0.7069 0.8362 O
0.5825 0.8325 0.4203 O
0.3512 0.7890 0.6924 O
0.6185 0.8685 0.8968 O
0.1185 0.3685 0.8968 O
0.5431 0.7931 0.1638 O
0.4175 0.1675 0.5797 O
0.6488 0.2110 0.3076 O
0.0825 0.3325 0.4203 O
0.2999 0.5499 0.5629 O
0.0118 0.2618 0.0418 C
0.9882 0.7382 0.9581 C
0.4882 0.2382 0.9582 C
0.5118 0.7618 0.0419 C
0.3127 0.5627 0.3325 Ni
0.8129 0.0629 0.3327 Ni
0.6871 0.4371 0.6673 Ni
0.1873 0.9373 0.6675 Ni
0.0540 0.8040 0.4136 P
0.4460 0.6960 0.5864 P
0.9460 0.1960 0.5864 P
0.5540 0.3040 0.4136 P


No. 2
La7SmCrFe7O24 | Materials Project | PBE with a Hubbard U | optimized geometry; crystal system = trigonal; symmetry = R3m, No. 160
1.0
-6.5313 -0.2711 4.4105
2.7758 -6.3753 3.7196
3.4376 4.6328 5.3763
O Fe La Cr Sm
24 7 7 1 1
Direct
0.5011 0.5011 0.7493 O
0.0000 0.2501 0.0000 O
0.5011 0.7497 0.9989 O
0.7499 0.9989 0.9989 O
0.7497 0.9989 0.5011 O
0.2507 0.5000 0.5000 O
0.0000 0.0000 0.2501 O
0.9989 0.7497 0.5011 O
0.5000 0.2507 0.5000 O
0.5000 0.5000 0.2507 O
0.5011 0.9989 0.7497 O
0.9989 0.7499 0.9989 O
0.5000 0.0000 0.2503 O
0.2501 0.0000 0.0000 O
0.5000 0.2503 0.0000 O
0.9989 0.5011 0.7497 O
0.9989 0.9989 0.7499 O
0.0000 0.5000 0.2503 O
0.0000 0.2503 0.5000 O
0.5011 0.7493 0.5011 O
0.2503 0.5000 0.0000 O
0.7497 0.5011 0.9989 O
0.2503 0.0000 0.5000 O
0.7493 0.5011 0.5011 O
0.5003 0.5003 0.9997 Fe
0.5003 0.9997 0.5003 Fe
0.9997 0.5003 0.5003 Fe
0.9997 0.9997 0.5003 Fe
0.9997 0.9997 0.9997 Fe
0.5003 0.9997 0.9997 Fe
0.9997 0.5003 0.9997 Fe
0.2503 0.7497 0.2503 La
0.2503 0.7497 0.7497 La
0.7497 0.2503 0.7497 La
0.2503 0.2503 0.2503 La
0.2503 0.2503 0.7497 La
0.7497 0.7497 0.2503 La
0.7497 0.2503 0.2503 La
0.5002 0.5002 0.5002 Cr
0.7497 0.7497 0.7497 Sm


No. 3
SrNbVInO6 | Materials Project | PBE with a Hubbard U | optimized geometry; crystal system = cubic; symmetry = F-43m, No. 216
1.0
0.0000 -3.9987 -3.9987
3.9987 0.0000 -3.9987
3.9987 -3.9987 0.0000
In V Nb O Sr
1 1 1 6 1
Direct
0.7500 0.7500 0.7500 In
0.5000 0.5000 0.5000 V
0.0000 0.0000 0.0000 Nb
0.2523 0.7477 0.2523 O
0.7477 0.7477 0.2523 O
0.2523 0.2523 0.7477 O
0.2523 0.7477 0.7477 O
0.7477 0.2523 0.2523 O
0.7477 0.2523 0.7477 O
0.2500 0.2500 0.2500 Sr


No. 4
This record from Materials Project describes a relaxed structure of Li3Nb2CrO6. The functional is PBE with a Hubbard U.

```
Li3Nb2CrO6
1.0
-0.0016 -3.0442 4.9761
-3.7287 -5.7139 -0.0739
9.1000 -9.8696 -2.6202
O Li Nb Cr
24 12 8 4
Direct
0.6337 0.2219 0.5103 O
0.3771 0.7344 0.5114 O
0.1337 0.2219 0.5102 O
0.9658 0.8913 0.6769 O
0.3837 0.7220 0.0103 O
0.2009 0.4421 0.6564 O
0.9508 0.9420 0.1564 O
0.5396 0.0989 0.3219 O
0.2830 0.6114 0.3231 O
0.7008 0.4421 0.6564 O
0.7158 0.3912 0.1769 O
0.0330 0.1114 0.8231 O
0.4508 0.9420 0.1564 O
0.4658 0.8913 0.6769 O
0.8837 0.7220 0.0102 O
0.7830 0.6114 0.3231 O
0.6271 0.2344 0.0114 O
0.5330 0.1114 0.8231 O
0.0395 0.0989 0.3219 O
0.2158 0.3912 0.1769 O
0.8771 0.7344 0.5114 O
0.1270 0.2344 0.0114 O
0.7897 0.5989 0.8220 O
0.2896 0.5989 0.8219 O
0.9150 0.8504 0.3198 Li
0.5017 0.9829 0.5136 Li
0.0833 0.1667 0.6667 Li
0.7517 0.4829 0.0136 Li
0.1650 0.3504 0.8198 Li
0.6649 0.3504 0.8198 Li
0.8334 0.6667 0.1667 Li
0.5833 0.1667 0.6667 Li
0.2517 0.4829 0.0136 Li
0.3334 0.6666 0.1667 Li
0.0017 0.9829 0.5136 Li
0.4150 0.8504 0.3198 Li
0.9056 0.8455 0.8434 Nb
0.0111 0.9879 0.9899 Nb
0.4056 0.8454 0.8434 Nb
0.2610 0.4879 0.4900 Nb
0.1556 0.3454 0.3434 Nb
0.6556 0.3454 0.3434 Nb
0.5110 0.9879 0.9899 Nb
0.7610 0.4879 0.4900 Nb
0.5832 0.1668 0.1667 Cr
0.8334 0.6667 0.6667 Cr
0.3333 0.6666 0.6667 Cr
0.0833 0.1666 0.1666 Cr
```


no.,M_tot (μB per cell),total DFT energy (no corrections) (eV/atom)
1,0.00,-6.40
2,38.00,-7.58
3,1.35,-7.34
4,0.00,-7.43